Model A:
Sr4CaMn2Ga2O10, optimized geometry, DFT GGA+U; magnetization = 0.53 μB/atom; symmetry = No. 5
1.0
4.0055 -8.3784 0.0000
4.0055 8.3784 0.0000
-3.9682 0.0000 4.3447
Sr Ca Mn Ga O
4 1 2 2 10
Cartesian
0.0375 0.0000 1.7009 Sr
-0.1460 -3.3183 1.9917 Sr
4.0052 0.0000 2.6438 Sr
4.1887 -3.3183 2.3529 Sr
4.0055 1.5007 0.0000 Ca
2.1880 -1.7440 0.0408 Mn
1.8547 -1.7440 4.3039 Mn
2.4355 -5.5415 0.7798 Ga
1.6072 -5.5415 3.5649 Ga
-0.6573 2.6978 2.4837 O
2.0213 6.7736 2.1723 O
4.0055 6.6456 0.0000 O
1.6328 1.2303 0.0906 O
-1.6076 -3.9510 4.2149 O
4.0055 -0.6973 0.0000 O
2.0213 -1.6917 2.1723 O
4.7000 2.6978 1.8610 O
2.4099 1.2303 4.2541 O
5.6503 -3.9510 0.1298 O


Model B:
Sr4CaMn2Ga2O10, optimized geometry, DFT GGA+U; magnetization = 0.53 μB/atom; symmetry = No. 1
1.0
6.1795 0.0000 0.0000
-1.0600 6.1131 0.0000
-2.5146 -3.0921 8.2082
Sr Ca Mn Ga O
4 1 2 2 10
Cartesian
0.0000 0.0000 0.0000 Sr
-0.7893 0.6622 3.4618 Sr
-1.0856 0.8759 8.1883 Sr
2.2904 3.2446 3.4570 Sr
1.2771 -1.1023 8.0146 Ca
-1.0425 3.5328 2.1282 Mn
2.5383 0.3784 2.1306 Mn
-0.6822 3.8984 5.6827 Ga
2.1957 0.0008 5.6845 Ga
-1.2779 3.1533 4.1800 O
0.1897 5.0366 1.7487 O
0.7551 1.9793 1.7333 O
-1.1909 3.2701 7.3590 O
0.2361 -0.2473 5.9026 O
2.3334 -1.9641 5.9032 O
2.7818 0.7538 4.1819 O
3.2867 5.0047 1.7995 O
3.8536 1.9429 1.8967 O
2.7130 0.6195 7.3618 O


Model C:
Sr4CaMn2Ga2O10, optimized geometry, DFT GGA+U; magnetization = 0.52 μB/atom; symmetry = No. 1
1.0
5.8521 0.0000 0.0000
-0.1212 5.8515 0.0000
-2.8865 -2.9032 8.3934
Sr Ca Mn Ga O
4 1 2 2 10
Cartesian
0.0000 0.0000 0.0000 Sr
-0.0463 -0.0541 3.2132 Sr
-0.0802 -0.0380 8.3563 Sr
2.8651 2.9071 3.1765 Sr
-1.5276 -1.5121 5.7672 Ca
-0.0917 2.9023 1.6406 Mn
2.9033 -0.0331 1.6474 Mn
0.4122 2.4305 5.7686 Ga
2.3871 0.5152 5.7745 Ga
-0.3682 3.1750 4.2401 O
1.3454 4.3601 1.6087 O
1.4031 1.4329 1.7466 O
-0.3756 3.1887 7.2760 O
0.4385 0.4822 5.7735 O
2.3700 2.4715 5.7732 O
3.1530 -0.2375 4.2410 O
4.2681 4.3576 1.4281 O
4.3332 1.4332 1.5927 O
3.1625 -0.2541 7.2819 O


Tell me which of them is the most stable. Sure, it is model C.


Model A:
CaGa4W2O12, optimized geometry, DFT GGA+U; magnetization = 0.11 μB/atom; symmetry = No. 81
1.0
4.8448 0.0000 0.0000
0.0000 4.8448 0.0000
0.0000 0.0000 9.2052
Ca Ga W O
1 4 2 12
Cartesian
0.0000 0.0000 0.0000 Ca
0.0000 2.4224 5.3439 Ga
0.0000 2.4224 8.2539 Ga
2.4224 0.0000 0.9513 Ga
2.4224 0.0000 3.8613 Ga
0.0000 2.4224 2.3786 W
2.4224 0.0000 6.8266 W
0.8793 1.3441 6.9272 O
0.9577 1.5105 3.8494 O
1.0429 1.6236 0.8129 O
1.3441 3.9655 2.2780 O
1.5105 3.8871 5.3558 O
1.6236 3.8019 8.3923 O
3.2212 1.0429 8.3923 O
3.3343 0.9577 5.3558 O
3.5007 0.8793 2.2780 O
3.8019 3.2212 0.8129 O
3.8871 3.3343 3.8494 O
3.9655 3.5007 6.9272 O


Model B:
CaGa4W2O12, optimized geometry, DFT GGA+U; magnetization = 0.11 μB/atom; symmetry = No. 1
1.0
5.2591 0.0000 0.0000
1.5305 5.2207 0.0000
0.8700 0.5022 8.9715
Ca Ga W O
1 4 2 12
Cartesian
0.0000 0.0000 0.0000 Ca
1.5762 2.1016 4.3472 Ga
1.6415 2.0658 1.4039 Ga
5.0271 4.2851 8.9068 Ga
4.9878 4.7812 6.1140 Ga
2.0679 2.8022 7.2363 W
4.3145 4.2049 2.9908 W
1.8541 0.8138 2.8959 O
2.5035 1.2561 5.9673 O
2.8519 3.5453 1.3742 O
3.0328 3.3565 4.0506 O
2.9715 1.5671 8.7620 O
3.7366 4.0820 7.4876 O
5.3650 4.9954 4.2713 O
5.1057 4.7463 1.3510 O
6.3363 4.8100 7.4383 O
5.5746 2.7150 2.8892 O
5.8750 2.8952 5.8069 O
5.3235 2.2957 0.0749 O


Tell me which of them is the most stable. Sure, it is model B.


Model A:
KCaNi2H3Se2O10, optimized geometry, DFT GGA+U; magnetization = 0.27 μB/atom; symmetry = No. 1
1.0
5.7736 0.0000 0.0000
-1.7932 5.4916 0.0000
-2.7669 -2.1719 7.9383
K Ca Ni H Se O
1 1 2 3 2 10
Cartesian
0.0000 0.0000 0.0000 K
-0.7991 0.4295 7.9002 Ca
-0.4151 -0.0569 3.9469 Ni
1.3448 2.7894 3.9639 Ni
3.0188 -0.5850 2.4503 H
1.6253 0.5435 5.4357 H
2.4815 0.0445 3.8921 H
-1.6810 2.7117 2.2246 Se
-1.4098 2.5145 5.6770 Se
-2.7334 3.6334 5.0643 O
-1.3537 4.4027 2.3734 O
-0.2048 1.7806 2.8194 O
-1.0479 0.6689 5.7128 O
-1.6404 2.6221 7.4039 O
0.1171 3.3135 5.5318 O
1.5079 0.7441 4.4899 O
2.2092 2.5697 2.1569 O
3.2806 -0.5558 3.3891 O
4.2718 2.5163 0.4975 O


Model B:
KCaNi2H3Se2O10, optimized geometry, DFT GGA+U; magnetization = 0.21 μB/atom; symmetry = No. 1
1.0
5.7045 0.0000 0.0000
2.4577 5.2616 0.0000
2.3021 0.0243 9.0741
K Ca Ni H Se O
1 1 2 3 2 10
Cartesian
0.0000 0.0000 0.0000 K
6.2791 2.8512 5.6123 Ca
3.1114 3.1015 3.7344 Ni
4.4875 0.6641 3.7716 Ni
1.3864 0.3180 4.0957 H
2.4208 1.0403 2.3811 H
6.3308 0.1375 5.6076 H
5.0731 1.5858 7.9672 Se
5.7067 3.1204 2.0344 Se
2.5960 1.1673 3.3407 O
4.1956 3.8413 2.2017 O
5.4790 3.2424 7.6345 O
4.3748 2.2597 4.8799 O
3.3081 1.2492 0.4470 O
6.7575 3.8163 3.2934 O
6.3593 0.8951 6.8891 O
5.6541 1.4667 2.3302 O
6.3674 3.3745 0.5693 O
8.7732 5.1048 4.5858 O


Tell me which of them is the most stable. Sure, it is model B.


Model A:
KCaNi2H3Se2O10, optimized geometry, DFT GGA+U; magnetization = 0.21 μB/atom; symmetry = No. 1
1.0
6.2669 0.0000 0.0000
-3.0268 6.1947 0.0000
-1.2248 -2.8123 6.8006
K Ca Ni H Se O
1 1 2 3 2 10
Cartesian
0.0000 0.0000 0.0000 K
-2.2131 2.0774 4.2876 Ca
-0.6104 -1.4235 3.4535 Ni
1.3243 1.5842 3.1092 Ni
-0.0966 0.5113 4.6568 H
3.5534 0.4195 2.0273 H
3.4265 1.6858 1.1310 H
0.1261 4.0724 1.1492 Se
2.5527 -1.1334 4.8743 Se
-0.4010 0.5721 3.7213 O
-1.3253 4.6178 1.7541 O
0.9260 -1.8023 4.8216 O
-1.0265 1.4626 6.2964 O
0.3863 2.4508 1.5157 O
2.2808 0.5776 4.6428 O
1.3696 5.0585 1.8058 O
3.2062 1.3538 2.0691 O
2.9452 -1.1979 6.5107 O
2.0340 3.1247 4.0352 O


Model B:
KCaNi2H3Se2O10, optimized geometry, DFT GGA+U; magnetization = 0.21 μB/atom; symmetry = No. 1
1.0
5.5479 0.0000 0.0000
-2.5588 6.1285 0.0000
-0.7354 -2.2467 7.9714
K Ca Ni H Se O
1 1 2 3 2 10
Cartesian
0.0000 0.0000 0.0000 K
-0.5030 2.0882 6.1413 Ca
0.6670 1.2082 3.7085 Ni
2.3993 3.5015 3.6213 Ni
2.6582 1.4348 1.9904 H
3.4963 0.9879 3.6154 H
4.1894 -0.2740 4.5434 H
-0.2809 3.5933 1.7496 Se
1.8560 -1.1776 5.4645 Se
-2.0877 3.8207 5.3269 O
-0.7299 3.8083 0.1550 O
-1.4865 4.3809 2.6315 O
-0.2204 1.9170 1.9620 O
1.0430 0.3565 5.6634 O
0.7743 2.9640 4.5636 O
2.2801 -1.7052 7.0433 O
1.2394 4.2826 1.9831 O
2.5125 1.5373 2.9482 O
4.3195 0.6585 4.2946 O


Tell me which of them is the most stable. Sure, it is model A.